# 1
Material: RbPr2Cl7
Method: DFT, r2SCAN
State: optimized geometry

energy of formation = -2.519 eV per atom
calculated volume = 30.11 Å³ per atom

abc: 14.791 9.745 16.712
angles: 90.00 90.00 90.00
Atoms (fractional coordinates):
Rb  0.072  0.250  0.065
Rb  0.085  0.750  0.601
Rb  0.415  0.250  0.101
Rb  0.428  0.750  0.565
Rb  0.572  0.250  0.435
Rb  0.585  0.750  0.899
Rb  0.915  0.250  0.399
Rb  0.928  0.750  0.935
Pr  0.010  0.250  0.755
Pr  0.208  0.250  0.560
Pr  0.244  0.027  0.339
Pr  0.244  0.473  0.339
Pr  0.256  0.527  0.839
Pr  0.256  0.973  0.839
Pr  0.292  0.750  0.060
Pr  0.490  0.750  0.255
Pr  0.510  0.250  0.745
Pr  0.708  0.250  0.940
Pr  0.744  0.027  0.161
Pr  0.744  0.473  0.161
Pr  0.756  0.527  0.661
Pr  0.756  0.973  0.661
Pr  0.792  0.750  0.440
Pr  0.990  0.750  0.245
Cl  0.020  0.250  0.582
Cl  0.069  0.016  0.267
Cl  0.069  0.484  0.267
Cl  0.084  0.076  0.882
Cl  0.084  0.424  0.882
Cl  0.122  0.750  0.123
Cl  0.129  0.250  0.404
Cl  0.157  0.750  0.919
Cl  0.166  0.075  0.697
Cl  0.166  0.425  0.697
Cl  0.189  0.750  0.336
Cl  0.221  0.526  0.505
Cl  0.221  0.974  0.505
Cl  0.249  0.750  0.728
Cl  0.251  0.250  0.228
Cl  0.279  0.026  0.005
Cl  0.279  0.474  0.005
Cl  0.311  0.250  0.836
Cl  0.334  0.575  0.197
Cl  0.334  0.925  0.197
Cl  0.343  0.250  0.419
Cl  0.371  0.750  0.904
Cl  0.378  0.250  0.623
Cl  0.416  0.576  0.382
Cl  0.416  0.924  0.382
Cl  0.431  0.516  0.767
Cl  0.431  0.984  0.767
Cl  0.480  0.750  0.082
Cl  0.520  0.250  0.918
Cl  0.569  0.016  0.233
Cl  0.569  0.484  0.233
Cl  0.584  0.076  0.618
Cl  0.584  0.424  0.618
Cl  0.622  0.750  0.377
Cl  0.629  0.250  0.096
Cl  0.657  0.750  0.581
Cl  0.666  0.075  0.803
Cl  0.666  0.425  0.803
Cl  0.689  0.750  0.164
Cl  0.721  0.526  0.995
Cl  0.721  0.974  0.995
Cl  0.749  0.750  0.772
Cl  0.751  0.250  0.272
Cl  0.779  0.026  0.495
Cl  0.779  0.474  0.495
Cl  0.811  0.250  0.664
Cl  0.834  0.575  0.303
Cl  0.834  0.925  0.303
Cl  0.843  0.250  0.081
Cl  0.871  0.750  0.596
Cl  0.878  0.250  0.877
Cl  0.916  0.576  0.118
Cl  0.916  0.924  0.118
Cl  0.931  0.516  0.733
Cl  0.931  0.984  0.733
Cl  0.980  0.750  0.418



# 2
Material: LiV2P5O15
Method: DFT, r2SCAN
State: optimized geometry

energy of formation = -2.393 eV per atom
calculated volume = 12.14 Å³ per atom

abc: 5.238 8.372 13.355
angles: 90.00 107.49 90.00
Atoms (fractional coordinates):
Li  0.000  0.003  0.000
Li  0.000  0.997  0.500
V  0.026  0.309  0.443
V  0.026  0.691  0.943
V  0.898  0.309  0.010
V  0.898  0.691  0.510
P  0.330  0.175  0.871
P  0.330  0.825  0.371
P  0.451  0.491  0.118
P  0.451  0.509  0.618
P  0.474  0.493  0.338
P  0.474  0.507  0.838
P  0.600  0.178  0.587
P  0.600  0.822  0.087
P  0.964  0.055  0.226
P  0.964  0.945  0.726
O  0.014  0.131  0.133
O  0.014  0.869  0.633
O  0.138  0.184  0.933
O  0.138  0.816  0.433
O  0.158  0.483  0.563
O  0.158  0.517  0.063
O  0.215  0.063  0.772
O  0.215  0.937  0.272
O  0.317  0.137  0.531
O  0.317  0.863  0.031
O  0.324  0.341  0.810
O  0.324  0.659  0.310
O  0.332  0.386  0.390
O  0.332  0.614  0.890
O  0.455  0.419  0.228
O  0.455  0.581  0.728
O  0.600  0.343  0.648
O  0.600  0.657  0.148
O  0.602  0.384  0.070
O  0.602  0.616  0.570
O  0.614  0.134  0.926
O  0.614  0.866  0.426
O  0.713  0.065  0.685
O  0.713  0.935  0.185
O  0.769  0.482  0.890
O  0.769  0.518  0.390
O  0.796  0.187  0.526
O  0.796  0.813  0.026
O  0.914  0.148  0.312
O  0.914  0.852  0.812



# 3
Material: MgGaIr2
Method: DFT, r2SCAN
State: optimized geometry

energy of formation = -0.533 eV per atom
calculated volume = 14.08 Å³ per atom

abc: 4.303 4.303 4.303
angles: 60.00 60.00 60.00
Atoms (fractional coordinates):
Mg  0.000  0.000  0.000
Ga  0.500  0.500  0.500
Ir  0.250  0.250  0.250
Ir  0.750  0.750  0.750



# 4
Material: Nd3Ti3Se2O8
Method: DFT, r2SCAN
State: optimized geometry

energy of formation = -3.250 eV per atom
calculated volume = 15.26 Å³ per atom

abc: 9.820 3.943 13.524
angles: 90.00 111.20 90.00
Atoms (fractional coordinates):
Nd  0.110  0.250  0.163
Nd  0.177  0.250  0.586
Nd  0.331  0.250  0.916
Nd  0.669  0.750  0.084
Nd  0.823  0.750  0.414
Nd  0.890  0.750  0.837
Ti  0.221  0.750  0.402
Ti  0.448  0.250  0.407
Ti  0.448  0.750  0.767
Ti  0.552  0.250  0.233
Ti  0.552  0.750  0.593
Ti  0.779  0.250  0.598
Se  0.139  0.750  0.746
Se  0.181  0.750  0.019
Se  0.819  0.250  0.981
Se  0.861  0.250  0.254
O  0.085  0.750  0.470
O  0.139  0.750  0.260
O  0.252  0.250  0.427
O  0.360  0.750  0.608
O  0.376  0.250  0.254
O  0.406  0.250  0.763
O  0.439  0.750  0.430
O  0.474  0.750  0.914
O  0.526  0.250  0.086
O  0.561  0.250  0.570
O  0.594  0.750  0.237
O  0.624  0.750  0.746
O  0.640  0.250  0.392
O  0.748  0.750  0.573
O  0.861  0.250  0.740
O  0.915  0.250  0.530



# 5
Material: Sc5Cl8
Method: DFT, r2SCAN
State: optimized geometry

energy of formation = -1.974 eV per atom
calculated volume = 24.55 Å³ per atom

abc: 9.513 9.513 13.374
angles: 133.33 133.33 21.63
Atoms (fractional coordinates):
Sc  0.000  0.000  0.000
Sc  0.118  0.118  0.623
Sc  0.488  0.488  0.654
Sc  0.512  0.512  0.346
Sc  0.882  0.882  0.377
Cl  0.024  0.024  0.216
Cl  0.309  0.309  0.429
Cl  0.328  0.328  0.190
Cl  0.367  0.367  0.887
Cl  0.633  0.633  0.113
Cl  0.672  0.672  0.810
Cl  0.691  0.691  0.571
Cl  0.976  0.976  0.784



# 6
Material: TiOF
Method: DFT, r2SCAN
State: optimized geometry

energy of formation = -3.354 eV per atom
calculated volume = 10.75 Å³ per atom

abc: 2.862 2.862 3.935
angles: 90.00 90.00 90.00
Atoms (fractional coordinates):
Ti  0.000  0.000  0.000
O  0.500  0.500  0.000
F  0.000  0.000  0.500



# 7
Material: V3O5F
Method: DFT, r2SCAN
State: optimized geometry

energy of formation = -2.745 eV per atom
calculated volume = 10.15 Å³ per atom
relative energy among the computed polymorphs = 9 meV per atom

abc: 5.420 5.427 6.994
angles: 71.83 71.82 74.94
Atoms (fractional coordinates):
V  0.000  0.000  0.000
V  0.000  0.000  0.500
V  0.299  0.362  0.169
V  0.337  0.361  0.652
V  0.663  0.639  0.348
V  0.701  0.638  0.831
O  0.020  0.637  0.172
O  0.104  0.104  0.193
O  0.240  0.237  0.463
O  0.295  0.704  0.499
O  0.435  0.435  0.869
O  0.565  0.565  0.131
O  0.705  0.296  0.501
O  0.760  0.763  0.537
O  0.896  0.896  0.807
O  0.980  0.363  0.828
F  0.372  0.968  0.828
F  0.628  0.032  0.172



# 8
Material: BaCaSi
Method: DFT, r2SCAN
State: optimized geometry

energy of formation = -0.491 eV per atom
calculated volume = 33.34 Å³ per atom

abc: 8.589 5.082 9.166
angles: 90.00 90.00 90.00
Atoms (fractional coordinates):
Ba  0.027  0.250  0.176
Ba  0.473  0.750  0.676
Ba  0.527  0.250  0.324
Ba  0.973  0.750  0.824
Ca  0.141  0.250  0.574
Ca  0.359  0.750  0.074
Ca  0.641  0.250  0.926
Ca  0.859  0.750  0.426
Si  0.218  0.750  0.392
Si  0.282  0.250  0.892
Si  0.718  0.750  0.108
Si  0.782  0.250  0.608



# 9
Material: CeCoSb2
Method: DFT, r2SCAN
State: optimized geometry

energy of formation = -0.700 eV per atom
calculated volume = 23.47 Å³ per atom

abc: 4.400 4.400 9.702
angles: 90.00 90.00 90.00
Atoms (fractional coordinates):
Ce  0.250  0.250  0.236
Ce  0.750  0.750  0.764
Co  0.250  0.750  0.000
Co  0.750  0.250  0.000
Sb  0.250  0.250  0.866
Sb  0.250  0.750  0.500
Sb  0.750  0.250  0.500
Sb  0.750  0.750  0.134



# 10
Material: Tc7B3
Method: DFT, r2SCAN
State: optimized geometry

energy of formation = -0.349 eV per atom
calculated volume = 11.66 Å³ per atom

abc: 7.467 7.467 4.830
angles: 90.00 90.00 120.00
Atoms (fractional coordinates):
Tc  0.091  0.546  0.000
Tc  0.124  0.247  0.706
Tc  0.124  0.876  0.706
Tc  0.247  0.124  0.206
Tc  0.333  0.667  0.534
Tc  0.454  0.546  0.000
Tc  0.454  0.909  0.000
Tc  0.546  0.091  0.500
Tc  0.546  0.454  0.500
Tc  0.667  0.333  0.034
Tc  0.753  0.876  0.706
Tc  0.876  0.124  0.206
Tc  0.876  0.753  0.206
Tc  0.909  0.454  0.500
B  0.189  0.379  0.292
B  0.189  0.811  0.292
B  0.379  0.189  0.792
B  0.621  0.811  0.292
B  0.811  0.189  0.792
B  0.811  0.621  0.792



# 11
Material: Si6Ni3Au
Method: DFT, r2SCAN
State: optimized geometry

energy of formation = -0.331 eV per atom
calculated volume = 13.66 Å³ per atom

abc: 11.433 11.433 11.433
angles: 18.87 18.87 18.87
Atoms (fractional coordinates):
Si  0.070  0.070  0.070
Si  0.214  0.214  0.214
Si  0.358  0.358  0.358
Si  0.642  0.642  0.642
Si  0.786  0.786  0.786
Si  0.930  0.930  0.930
Ni  0.000  0.000  0.000
Ni  0.425  0.425  0.425
Ni  0.575  0.575  0.575
Au  0.500  0.500  0.500



# 12
Material: HoNi
Method: DFT, r2SCAN
State: optimized geometry

energy of formation = -0.435 eV per atom
calculated volume = 19.32 Å³ per atom

abc: 7.002 4.123 5.353
angles: 90.00 90.00 90.00
Atoms (fractional coordinates):
Ho  0.181  0.250  0.133
Ho  0.319  0.750  0.633
Ho  0.681  0.250  0.367
Ho  0.819  0.750  0.867
Ni  0.036  0.250  0.623
Ni  0.464  0.750  0.123
Ni  0.536  0.250  0.877
Ni  0.964  0.750  0.377



# 13
Material: Ce3Ga
Method: DFT, r2SCAN
State: optimized geometry

energy of formation = -0.337 eV per atom
calculated volume = 25.88 Å³ per atom

abc: 4.696 4.696 4.696
angles: 90.00 90.00 90.00
Atoms (fractional coordinates):
Ce  0.000  0.000  0.500
Ce  0.000  0.500  0.000
Ce  0.500  0.000  0.000
Ga  0.500  0.500  0.500



# 14
Material: Ho2Mn2O7
Method: DFT, r2SCAN
State: optimized geometry

energy of formation = -3.009 eV per atom
calculated volume = 10.91 Å³ per atom

abc: 6.976 6.976 6.976
angles: 60.00 60.00 60.00
Atoms (fractional coordinates):
Ho  0.000  0.000  0.000
Ho  0.000  0.000  0.500
Ho  0.000  0.500  0.000
Ho  0.500  0.000  0.000
Mn  0.000  0.500  0.500
Mn  0.500  0.000  0.500
Mn  0.500  0.500  0.000
Mn  0.500  0.500  0.500
O  0.125  0.125  0.125
O  0.171  0.171  0.579
O  0.171  0.579  0.171
O  0.171  0.579  0.579
O  0.421  0.421  0.829
O  0.421  0.829  0.421
O  0.421  0.829  0.829
O  0.579  0.171  0.171
O  0.579  0.171  0.579
O  0.579  0.579  0.171
O  0.829  0.421  0.421
O  0.829  0.421  0.829
O  0.829  0.829  0.421
O  0.875  0.875  0.875



# 15
Material: ErCdPd2
Method: DFT, r2SCAN
State: optimized geometry

energy of formation = -0.781 eV per atom
calculated volume = 18.71 Å³ per atom

abc: 4.730 4.730 4.730
angles: 60.00 60.00 60.00
Atoms (fractional coordinates):
Er  0.000  0.000  0.000
Cd  0.500  0.500  0.500
Pd  0.250  0.250  0.250
Pd  0.750  0.750  0.750



# 16
Material: NaYF4
Method: DFT, r2SCAN
State: optimized geometry

energy of formation = -3.984 eV per atom
calculated volume = 12.92 Å³ per atom

abc: 6.559 6.559 6.559
angles: 131.50 131.50 71.03
Atoms (fractional coordinates):
Na  0.375  0.625  0.750
Na  0.625  0.375  0.250
Y  0.125  0.875  0.250
Y  0.875  0.125  0.750
F  0.000  0.234  0.234
F  0.000  0.766  0.766
F  0.234  0.000  0.734
F  0.234  0.500  0.234
F  0.500  0.234  0.734
F  0.500  0.766  0.266
F  0.766  0.000  0.266
F  0.766  0.500  0.766